Entry 1:
CeNi2B3 | PBE | relaxed

Properties
ΔH_f (0 K) = -0.414 eV/atom
calculated density = 6.89 g/cm³
total magnetic moment = 0.44 μB per cell

```
CeNi2B3
1.0
-3.8182 3.8182 4.7896
3.8182 -3.8182 4.7896
3.8182 3.8182 -4.7896
Ce Ni B
4 8 12
Direct
0.0000 0.0000 0.0000 Ce
0.3815 0.3815 0.0000 Ce
0.4393 0.9393 0.5000 Ce
0.9393 0.4393 0.5000 Ce
0.3065 0.3065 0.5455 Ni
0.3065 0.7610 0.0000 Ni
0.4904 0.7170 0.7734 Ni
0.7170 0.4904 0.7734 Ni
0.7170 0.9436 0.2266 Ni
0.7610 0.3065 0.0000 Ni
0.7610 0.7610 0.4545 Ni
0.9436 0.7170 0.2266 Ni
0.0620 0.0620 0.4566 B
0.0620 0.6054 0.0000 B
0.0966 0.4791 0.1636 B
0.0966 0.9330 0.6175 B
0.3154 0.4791 0.3825 B
0.3154 0.9330 0.8364 B
0.4791 0.0966 0.1636 B
0.4791 0.3154 0.3825 B
0.6054 0.0620 0.0000 B
0.6054 0.6054 0.5434 B
0.9330 0.0966 0.6175 B
0.9330 0.3154 0.8364 B
```

Entry 2:
BiAsO5 | PBE | relaxed

Properties
ΔH_f (0 K) = -1.272 eV/atom
calculated density = 5.32 g/cm³
total magnetic moment = 0.01 μB per cell

```
BiAsO5
1.0
6.7114 0.0000 0.0000
0.0000 7.8495 0.0000
0.0000 0.0000 8.6221
Bi As O
4 4 20
Direct
0.2471 0.2491 0.4959 Bi
0.2529 0.7509 0.9959 Bi
0.7471 0.2509 0.5041 Bi
0.7529 0.7491 0.0041 Bi
0.0164 0.8596 0.3328 As
0.4836 0.1404 0.8328 As
0.5164 0.6404 0.6672 As
0.9836 0.3596 0.1672 As
0.0010 0.3755 0.5935 O
0.0024 0.5698 0.0749 O
0.0537 0.7072 0.4620 O
0.2100 0.3611 0.2691 O
0.2164 0.8994 0.2064 O
0.2836 0.1006 0.7064 O
0.2900 0.6389 0.7691 O
0.4463 0.2928 0.9620 O
0.4976 0.4302 0.5749 O
0.4990 0.6245 0.0935 O
0.5010 0.1245 0.4065 O
0.5024 0.9302 0.9251 O
0.5537 0.7928 0.5380 O
0.7100 0.1389 0.7309 O
0.7164 0.6006 0.7936 O
0.7836 0.3994 0.2936 O
0.7900 0.8611 0.2309 O
0.9463 0.2072 0.0380 O
0.9976 0.0698 0.4251 O
0.9990 0.8755 0.9065 O
```

Entry 3:
Na6MgBi2O8 | PBE | relaxed

Properties
ΔH_f (0 K) = -1.777 eV/atom
calculated density = 4.96 g/cm³
total magnetic moment = 0.00 μB per cell

```
Na6MgBi2O8
1.0
6.1829 0.0000 0.0000
-2.4872 5.7148 0.0000
-0.1120 -0.1052 6.7161
Na Mg Bi O
6 1 2 8
Direct
0.0000 0.0000 0.0000 Na
0.0359 0.3663 0.2872 Na
0.4839 0.9847 0.7945 Na
0.5292 0.4713 0.0427 Na
0.5809 0.0023 0.2576 Na
0.9554 0.0093 0.5893 Na
0.1125 0.8175 0.3125 Mg
0.0109 0.4925 0.8062 Bi
0.5286 0.4681 0.5200 Bi
0.2183 0.7196 0.0527 O
0.2228 0.7029 0.5585 O
0.2302 0.2978 0.7883 O
0.2786 0.1635 0.3053 O
0.7610 0.2669 0.5617 O
0.7715 0.7446 0.3085 O
0.7872 0.6839 0.7876 O
0.7877 0.2432 0.0068 O
```

Entry 4:
Cs2DyAuCl6 | PBE | relaxed

Properties
ΔH_f (0 K) = -2.079 eV/atom
calculated density = 4.33 g/cm³
total magnetic moment = 0.00 μB per cell

```
Cs2DyAuCl6
1.0
0.0000 5.4345 5.4345
5.4345 0.0000 5.4345
5.4345 5.4345 0.0000
Cs Dy Au Cl
2 1 1 6
Direct
0.2500 0.2500 0.2500 Cs
0.7500 0.7500 0.7500 Cs
0.0000 0.0000 0.0000 Dy
0.5000 0.5000 0.5000 Au
0.2435 0.2435 0.7565 Cl
0.2435 0.7565 0.2435 Cl
0.2435 0.7565 0.7565 Cl
0.7565 0.2435 0.2435 Cl
0.7565 0.2435 0.7565 Cl
0.7565 0.7565 0.2435 Cl
```

Entry 5:
Sr2Nb2O7 | PBE | relaxed

Properties
ΔH_f (0 K) = -3.301 eV/atom
largest piezoelectric modulus = 3.09 C/m2
calculated density = 4.93 g/cm³

```
Sr2Nb2O7
1.0
2.0008 -13.6721 0.0000
2.0008 13.6721 0.0000
0.0000 0.0000 5.8278
Sr Nb O
4 4 14
Direct
0.0509 0.9491 0.5000 Sr
0.2091 0.7909 0.0640 Sr
0.7909 0.2091 0.5640 Sr
0.9491 0.0509 0.0000 Sr
0.3388 0.6612 0.0285 Nb
0.4415 0.5585 0.4970 Nb
0.5585 0.4415 0.9970 Nb
0.6612 0.3388 0.5285 Nb
0.0484 0.9516 0.9629 O
0.1505 0.8495 0.4908 O
0.2855 0.7145 0.8168 O
0.3007 0.6993 0.2912 O
0.3888 0.6112 0.6956 O
0.4078 0.5922 0.1878 O
0.4915 0.5085 0.7416 O
0.5085 0.4915 0.2416 O
0.5922 0.4078 0.6878 O
0.6112 0.3888 0.1956 O
0.6993 0.3007 0.7912 O
0.7145 0.2855 0.3168 O
0.8495 0.1505 0.9908 O
0.9516 0.0484 0.4629 O
```

Entry 6:
YCo2Ge2 | PBE | relaxed

Properties
ΔH_f (0 K) = -0.616 eV/atom
calculated density = 7.33 g/cm³

```
YCo2Ge2
1.0
-1.9822 1.9822 5.0730
1.9822 -1.9822 5.0730
1.9822 1.9822 -5.0730
Y Co Ge
1 2 2
Direct
0.0000 0.0000 0.0000 Y
0.2500 0.7500 0.5000 Co
0.7500 0.2500 0.5000 Co
0.3720 0.3720 0.0000 Ge
0.6280 0.6280 0.0000 Ge
```

Entry 7:
Sr2La14Mg4Ga12O45 | PBE | relaxed

Properties
ΔH_f (0 K) = -2.774 eV/atom
calculated density = 6.33 g/cm³
total magnetic moment = 0.00 μB per cell

```
Sr2La14Mg4Ga12O45
1.0
5.5792 0.0000 0.0000
-2.7432 4.8615 0.0000
-0.1881 -3.0480 36.4772
Sr La Mg Ga O
2 14 4 12 45
Direct
0.0000 0.0000 0.0000 Sr
0.1291 0.5024 0.1264 Sr
0.0568 0.2450 0.5678 La
0.1823 0.7452 0.6926 La
0.2634 0.0025 0.2542 La
0.3193 0.2515 0.8182 La
0.3863 0.5052 0.3779 La
0.4115 0.7369 0.9426 La
0.5103 0.0044 0.5034 La
0.5341 0.2391 0.0685 La
0.6355 0.5044 0.6282 La
0.6603 0.7363 0.1939 La
0.7617 0.0052 0.7537 La
0.8056 0.2431 0.3192 La
0.9284 0.5304 0.8748 La
0.9316 0.7447 0.4429 La
0.1197 0.1063 0.9084 Mg
0.7391 0.3831 0.9767 Mg
0.8663 0.8846 0.1021 Mg
0.9963 0.3851 0.2271 Mg
0.0374 0.6271 0.7847 Ga
0.0983 0.8759 0.3481 Ga
0.2212 0.3747 0.4730 Ga
0.2450 0.6059 0.0321 Ga
0.3461 0.8746 0.5980 Ga
0.3736 0.1081 0.1574 Ga
0.4716 0.3750 0.7229 Ga
0.5344 0.6247 0.2844 Ga
0.6033 0.8767 0.8481 Ga
0.6582 0.1247 0.4109 Ga
0.7836 0.6248 0.5355 Ga
0.9087 0.1248 0.6606 Ga
0.0123 0.2911 0.4314 O
0.0163 0.3057 0.9436 O
0.0356 0.9443 0.1434 O
0.0656 0.9576 0.6251 O
0.0873 0.4703 0.6220 O
0.1292 0.2841 0.0721 O
0.1368 0.7909 0.5565 O
0.1559 0.7931 0.0697 O
0.1844 0.4605 0.2677 O
0.1916 0.4590 0.7496 O
0.2148 0.9704 0.7466 O
0.2554 0.7917 0.1986 O
0.2627 0.2913 0.6814 O
0.2736 0.2874 0.1956 O
0.3071 0.9590 0.3898 O
0.3275 0.9666 0.8745 O
0.3573 0.4743 0.8720 O
0.3596 0.2772 0.3242 O
0.3782 0.7945 0.3210 O
0.3837 0.7880 0.8076 O
0.4309 0.4588 0.5144 O
0.4476 0.4767 0.0002 O
0.4597 0.9662 0.9947 O
0.4811 0.7792 0.4490 O
0.5023 0.2920 0.4460 O
0.5565 0.9591 0.6393 O
0.5771 0.9782 0.1260 O
0.5882 0.4703 0.1210 O
0.6054 0.2793 0.5739 O
0.6271 0.7919 0.5708 O
0.6815 0.4595 0.7643 O
0.6860 0.4602 0.2469 O
0.7034 0.9753 0.2443 O
0.7311 0.7805 0.6991 O
0.7527 0.2920 0.6959 O
0.7885 0.9535 0.8880 O
0.8169 0.9583 0.3751 O
0.8382 0.4730 0.3723 O
0.8658 0.2859 0.8230 O
0.8793 0.7881 0.3059 O
0.8880 0.7987 0.8198 O
0.9048 0.4448 0.0186 O
0.9408 0.4578 0.5001 O
0.9623 0.9706 0.4971 O
0.9858 0.7706 0.9459 O
```

Entry 8:
SrNdAlO4 | PBE | relaxed

Properties
ΔH_f (0 K) = -3.518 eV/atom
calculated density = 6.06 g/cm³
total magnetic moment = 0.00 μB per cell

```
SrNdAlO4
1.0
-1.8853 1.8853 6.2263
1.8853 -1.8853 6.2263
1.8853 1.8853 -6.2263
Sr Nd Al O
1 1 1 4
Direct
0.0000 0.0000 0.0000 Sr
0.7158 0.7158 0.0000 Nd
0.3597 0.3597 0.0000 Al
0.1951 0.1951 0.0000 O
0.3497 0.8497 0.5000 O
0.5215 0.5215 0.0000 O
0.8497 0.3497 0.5000 O
```

Entry 9:
Sb4S7N2 | PBE | relaxed

Properties
ΔH_f (0 K) = 0.158 eV/atom
calculated density = 2.78 g/cm³
total magnetic moment = 0.00 μB per cell

```
Sb4S7N2
1.0
10.4056 0.0000 0.0000
0.0000 13.0686 0.0000
0.0000 0.0000 25.9946
Sb S N
32 56 16
Direct
0.0233 0.1908 0.2373 Sb
0.0233 0.3092 0.7373 Sb
0.0342 0.2008 0.8701 Sb
0.0342 0.2992 0.3701 Sb
0.1521 0.5896 0.8276 Sb
0.1521 0.9104 0.3276 Sb
0.2199 0.0965 0.6707 Sb
0.2199 0.4035 0.1707 Sb
0.2801 0.5965 0.6707 Sb
0.2801 0.9035 0.1707 Sb
0.3479 0.0896 0.8276 Sb
0.3479 0.4104 0.3276 Sb
0.4658 0.7008 0.8701 Sb
0.4658 0.7992 0.3701 Sb
0.4767 0.6908 0.2373 Sb
0.4767 0.8092 0.7373 Sb
0.5233 0.1908 0.2627 Sb
0.5233 0.3092 0.7627 Sb
0.5342 0.2008 0.6299 Sb
0.5342 0.2992 0.1299 Sb
0.6521 0.5896 0.6724 Sb
0.6521 0.9104 0.1724 Sb
0.7199 0.0965 0.8293 Sb
0.7199 0.4035 0.3293 Sb
0.7801 0.5965 0.8293 Sb
0.7801 0.9035 0.3293 Sb
0.8479 0.0896 0.6724 Sb
0.8479 0.4104 0.1724 Sb
0.9658 0.7008 0.6299 Sb
0.9658 0.7992 0.1299 Sb
0.9767 0.6908 0.2627 Sb
0.9767 0.8092 0.7627 Sb
0.0175 0.7146 0.9817 S
0.0175 0.7854 0.4817 S
0.0294 0.1362 0.7782 S
0.0294 0.3638 0.2782 S
0.0338 0.0554 0.6141 S
0.0338 0.4446 0.1141 S
0.1391 0.5943 0.5948 S
0.1391 0.9057 0.0948 S
0.1498 0.7205 0.3244 S
0.1498 0.7795 0.8244 S
0.2009 0.0804 0.9029 S
0.2009 0.4196 0.4029 S
0.2040 0.2137 0.1755 S
0.2040 0.2863 0.6755 S
0.2960 0.7137 0.1755 S
0.2960 0.7863 0.6755 S
0.2991 0.5804 0.9029 S
0.2991 0.9196 0.4029 S
0.3502 0.2205 0.3244 S
0.3502 0.2795 0.8244 S
0.3609 0.0943 0.5948 S
0.3609 0.4057 0.0948 S
0.4662 0.5554 0.6141 S
0.4662 0.9446 0.1141 S
0.4706 0.6362 0.7782 S
0.4706 0.8638 0.2782 S
0.4825 0.2146 0.9817 S
0.4825 0.2854 0.4817 S
0.5175 0.7146 0.5183 S
0.5175 0.7854 0.0183 S
0.5294 0.1362 0.7218 S
0.5294 0.3638 0.2218 S
0.5337 0.0554 0.8859 S
0.5337 0.4446 0.3859 S
0.6391 0.5943 0.9052 S
0.6391 0.9057 0.4052 S
0.6498 0.7205 0.1756 S
0.6498 0.7795 0.6756 S
0.7009 0.0804 0.5971 S
0.7009 0.4196 0.0971 S
0.7040 0.2137 0.3245 S
0.7040 0.2863 0.8245 S
0.7960 0.7137 0.3245 S
0.7960 0.7863 0.8245 S
0.7991 0.5804 0.5971 S
0.7991 0.9196 0.0971 S
0.8502 0.2205 0.1756 S
0.8502 0.2795 0.6756 S
0.8609 0.0943 0.9052 S
0.8609 0.4057 0.4052 S
0.9662 0.5554 0.8859 S
0.9662 0.9446 0.3859 S
0.9706 0.6362 0.7218 S
0.9706 0.8638 0.2218 S
0.9825 0.2146 0.5183 S
0.9825 0.2854 0.0183 S
0.0240 0.1939 0.0465 N
0.0240 0.3061 0.5465 N
0.0590 0.6299 0.0153 N
0.0590 0.8701 0.5153 N
0.4410 0.1299 0.0153 N
0.4410 0.3701 0.5153 N
0.4760 0.6939 0.0465 N
0.4760 0.8061 0.5465 N
0.5240 0.1939 0.4535 N
0.5240 0.3061 0.9535 N
0.5590 0.6299 0.4847 N
0.5590 0.8701 0.9847 N
0.9410 0.1299 0.4847 N
0.9410 0.3701 0.9847 N
0.9760 0.6939 0.4535 N
0.9760 0.8061 0.9535 N
```

| no. | DFT total energy (eV/atom) |
| --- | --- |
| 1 | -6.669 |
| 2 | -5.537 |
| 3 | -4.800 |
| 4 | -3.786 |
| 5 | -8.156 |
| 6 | -6.602 |
| 7 | -6.761 |
| 8 | -7.410 |
| 9 | -4.567 |